1.
Entry from Materials Project: a relaxed structure of Tl2SnCl6 (PBE).

a b c (Å): 7.257 7.257 7.257
angles (deg): 60.00 60.00 60.00
Fractional positions:
Tl: 0.250 0.250 0.250
Tl: 0.750 0.750 0.750
Sn: 0.000 0.000 0.000
Cl: 0.241 0.241 0.759
Cl: 0.241 0.759 0.241
Cl: 0.241 0.759 0.759
Cl: 0.759 0.241 0.241
Cl: 0.759 0.241 0.759
Cl: 0.759 0.759 0.241

Properties
* formation energy from the elements: -1.433 eV per atom

=====

2.
Entry from Materials Project: a relaxed structure of SiCN (PBE).

a b c (Å): 3.367 3.367 3.367
angles (deg): 60.00 60.00 60.00
Fractional positions:
Si: 0.000 0.000 0.000
C: 0.750 0.750 0.750
N: 0.250 0.250 0.250

Properties
* formation energy from the elements: 1.431 eV per atom

=====

3.
Entry from Materials Project: a relaxed structure of Tl2B4O7 (PBE).

a b c (Å): 6.855 13.609 13.610
angles (deg): 119.28 91.66 91.70
Fractional positions:
Tl: 0.018 0.446 0.101
Tl: 0.125 0.916 0.046
Tl: 0.220 0.058 0.480
Tl: 0.297 0.442 0.557
Tl: 0.395 0.380 0.829
Tl: 0.449 0.139 0.236
Tl: 0.551 0.861 0.764
Tl: 0.605 0.620 0.171
Tl: 0.703 0.558 0.443
Tl: 0.780 0.942 0.520
Tl: 0.875 0.084 0.954
Tl: 0.982 0.554 0.899
B: 0.044 0.784 0.714
B: 0.087 0.398 0.305
B: 0.090 0.161 0.757
B: 0.092 0.736 0.330
B: 0.166 0.610 0.410
B: 0.169 0.960 0.706
B: 0.216 0.735 0.159
B: 0.248 0.687 0.798
B: 0.263 0.808 0.520
B: 0.354 0.125 0.863
B: 0.403 0.356 0.177
B: 0.407 0.722 0.992
B: 0.593 0.278 0.008
B: 0.597 0.644 0.823
B: 0.646 0.875 0.137
B: 0.737 0.192 0.480
B: 0.752 0.313 0.202
B: 0.784 0.265 0.841
B: 0.831 0.040 0.294
B: 0.834 0.390 0.590
B: 0.908 0.264 0.670
B: 0.910 0.839 0.243
B: 0.913 0.602 0.695
B: 0.956 0.216 0.286
O: 0.019 0.873 0.695
O: 0.053 0.633 0.340
O: 0.076 0.807 0.162
O: 0.079 0.039 0.678
O: 0.086 0.228 0.699
O: 0.094 0.307 0.334
O: 0.113 0.590 0.729
O: 0.163 0.506 0.404
O: 0.177 0.830 0.441
O: 0.198 0.785 0.783
O: 0.213 0.374 0.208
O: 0.239 0.707 0.243
O: 0.240 0.719 0.919
O: 0.273 0.017 0.819
O: 0.275 0.196 0.828
O: 0.285 0.697 0.497
O: 0.327 0.895 0.624
O: 0.340 0.684 0.071
O: 0.441 0.352 0.076
O: 0.452 0.658 0.759
O: 0.491 0.841 0.059
O: 0.509 0.159 0.941
O: 0.548 0.342 0.241
O: 0.559 0.648 0.924
O: 0.660 0.316 0.929
O: 0.673 0.105 0.376
O: 0.715 0.303 0.503
O: 0.725 0.804 0.172
O: 0.727 0.983 0.181
O: 0.760 0.281 0.081
O: 0.761 0.293 0.757
O: 0.787 0.626 0.792
O: 0.802 0.215 0.217
O: 0.823 0.170 0.559
O: 0.837 0.494 0.596
O: 0.887 0.410 0.271
O: 0.906 0.693 0.666
O: 0.914 0.772 0.301
O: 0.921 0.961 0.322
O: 0.924 0.193 0.838
O: 0.947 0.367 0.660
O: 0.981 0.127 0.305

Properties
* formation energy from the elements: -2.474 eV per atom

=====

4.
Entry from Materials Project: a relaxed structure of KHo2CuSe4 (PBE).

a b c (Å): 7.307 7.307 14.336
angles (deg): 90.00 90.00 147.41
Fractional positions:
K: 0.113 0.887 0.750
K: 0.887 0.113 0.250
Ho: 0.366 0.634 0.565
Ho: 0.366 0.634 0.935
Ho: 0.634 0.366 0.065
Ho: 0.634 0.366 0.435
Cu: 0.160 0.840 0.250
Cu: 0.840 0.160 0.750
Se: 0.000 0.000 0.000
Se: 0.000 0.000 0.500
Se: 0.265 0.735 0.111
Se: 0.265 0.735 0.389
Se: 0.436 0.564 0.750
Se: 0.564 0.436 0.250
Se: 0.735 0.265 0.611
Se: 0.735 0.265 0.889

Properties
* formation energy from the elements: -1.734 eV per atom

=====

5.
Entry from Materials Project: a relaxed structure of MgCr2S5 (PBE).

a b c (Å): 4.025 14.013 5.960
angles (deg): 90.00 90.00 90.00
Fractional positions:
Mg: 0.250 0.250 0.129
Mg: 0.750 0.750 0.871
Cr: 0.250 0.598 0.416
Cr: 0.250 0.902 0.416
Cr: 0.750 0.098 0.584
Cr: 0.750 0.402 0.584
S: 0.250 0.068 0.402
S: 0.250 0.432 0.402
S: 0.250 0.642 0.072
S: 0.250 0.750 0.571
S: 0.250 0.858 0.072
S: 0.750 0.142 0.928
S: 0.750 0.250 0.429
S: 0.750 0.358 0.928
S: 0.750 0.568 0.598
S: 0.750 0.932 0.598

Properties
* formation energy from the elements: -0.868 eV per atom

=====

6.
Entry from Materials Project: a relaxed structure of NbRu (PBE).

a b c (Å): 3.063 3.063 3.450
angles (deg): 90.00 90.00 90.00
Fractional positions:
Nb: 0.000 0.000 0.000
Ru: 0.500 0.500 0.500

Properties
* formation energy from the elements: -0.178 eV per atom